Entry from the Materials Project: a relaxed structure of Cu3P4O14 (GGA-PBE).

Geometry as POSCAR:
```
Cu3P4O14
1.0
-0.957 5.607 6.334
-2.250 -5.125 4.197
7.286 -3.890 4.545
O Cu P
28 6 8
Direct
0.392 0.113 0.134
0.630 0.374 0.587
0.342 0.308 0.682
0.932 0.285 0.367
0.108 0.113 0.634
0.485 0.623 0.679
0.515 0.377 0.321
0.273 0.983 0.876
0.130 0.626 0.913
0.068 0.715 0.633
0.015 0.623 0.179
0.107 0.998 0.118
0.393 0.998 0.618
0.227 0.983 0.376
0.370 0.626 0.413
0.432 0.715 0.133
0.893 0.002 0.882
0.892 0.887 0.366
0.158 0.308 0.182
0.607 0.002 0.382
0.870 0.374 0.087
0.568 0.285 0.867
0.773 0.017 0.624
0.658 0.692 0.318
0.727 0.017 0.124
0.842 0.692 0.818
0.608 0.887 0.866
0.985 0.377 0.821
0.629 0.193 0.483
0.129 0.807 0.017
0.371 0.807 0.517
0.000 0.000 0.500
0.500 0.000 0.000
0.871 0.193 0.983
0.488 0.605 0.294
0.012 0.605 0.794
0.771 0.913 0.800
0.271 0.087 0.700
0.229 0.087 0.200
0.988 0.395 0.206
0.729 0.913 0.300
0.512 0.395 0.706
```

E_tot = -6.48 eV per atom
spin magnetization = 1.00 μB/f.u.
formation energy = -2023.1 meV per atom
distance to the lowest polymorph of the same formula = 0 kJ/mol of formula units
calculated volume = 12.6 Å³ per atom
space group = P2_1/c (14)